This record from the Materials Project database describes a relaxed structure of LiYMg6O8. The functional is PBE.

Unit cell a=4.3615 b=4.3615 c=8.7422 alpha=90.00 beta=90.00 gamma=90.00
Space group P4/mmm (No. 123)
Asymmetric unit:
Li 0.0000 0.0000 0.0000 x1
Y 0.5000 0.5000 0.0000 x1
Mg 0.0000 0.0000 0.5000 x1
Mg 0.0000 0.5000 0.2589 x4
Mg 0.5000 0.5000 0.5000 x1
O 0.0000 0.0000 0.2604 x2
O 0.0000 0.5000 0.0000 x2
O 0.0000 0.5000 0.5000 x2
O 0.5000 0.5000 0.2610 x2

Properties
As for the calculated formation energy: -48.7 eV per formula unit. Its volume is 166.3 Å³/cell. The value obtained for the total DFT energy (no corrections) is -6.297 eV per atom. The energy with MP2020 corrections comes out at -6.64 eV/atom. As for the distance to the lowest polymorph of the same formula: 0.00 eV per formula unit.